(1)
Here is a geometry-optimized NdZrO3 structure from Materials Project. Energies are from PBE. Values from VASP.

The structure in Quantum ESPRESSO input format:
```
&SYSTEM
  ibrav = 0, nat = 10, ntyp = 3
/
ATOMIC_SPECIES
Nd 144.24 Nd.upf
Zr 91.22 Zr.upf
O 16.00 O.upf
CELL_PARAMETERS angstrom
4.1650 -4.1239 0.0000
4.1650 4.1239 0.0000
-3.7923 0.0000 4.1627
ATOMIC_POSITIONS angstrom
Nd 1.9144 0.0000 0.1302
Nd 2.6232 0.0000 4.0325
Zr 0.1863 2.0620 2.0813
Zr 0.1863 -2.0620 2.0813
O 4.1650 2.6389 0.0000
O -0.2824 0.0000 2.5429
O 2.2688 1.4683 2.0813
O 2.2688 -1.4683 2.0813
O 4.8200 0.0000 1.6197
O 4.1650 -2.6389 0.0000
```

Properties
VASP energy = -8.669 eV per atom
ΔH_f (0 K) = -3.450 eV/atom

(2)
Here is a geometry-optimized Ti3Rh5 structure from Materials Project. Energies are from PBE. Values from VASP.

The structure in Quantum ESPRESSO input format:
```
&SYSTEM
  ibrav = 0, nat = 16, ntyp = 2
/
ATOMIC_SPECIES
Ti 47.87 Ti.upf
Rh 102.91 Rh.upf
CELL_PARAMETERS angstrom
5.4238 0.0000 0.0000
0.0000 10.5292 0.0000
0.0000 0.0000 4.1324
ATOMIC_POSITIONS angstrom
Ti 0.0000 0.0000 0.0000
Ti 0.8690 3.7511 2.0662
Ti 1.8429 9.0158 2.0662
Ti 2.7119 5.2646 0.0000
Ti 3.5809 1.5135 2.0662
Ti 4.5548 6.7781 2.0662
Rh 0.0000 5.2646 0.0000
Rh 0.5586 8.0441 0.0000
Rh 1.0103 1.1278 2.0662
Rh 1.7016 6.3924 2.0662
Rh 2.1533 2.7795 0.0000
Rh 2.7119 0.0000 0.0000
Rh 3.2705 7.7497 0.0000
Rh 3.7222 4.1368 2.0662
Rh 4.4135 9.4014 2.0662
Rh 4.8652 2.4851 0.0000
```

Properties
VASP energy = -8.339 eV per atom
ΔH_f (0 K) = -0.776 eV/atom

(3)
Here is a geometry-optimized P4S9 structure from Materials Project. Energies are from PBE. Values from VASP.

The structure in Quantum ESPRESSO input format:
```
&SYSTEM
  ibrav = 0, nat = 52, ntyp = 2
/
ATOMIC_SPECIES
P 30.97 P.upf
S 32.06 S.upf
CELL_PARAMETERS angstrom
9.2253 0.0000 0.0000
0.0000 13.6579 0.0000
-5.7356 0.0000 12.8065
ATOMIC_POSITIONS angstrom
P -2.6274 3.2564 6.2954
P -5.4952 3.5726 12.6986
P -3.1976 1.3250 11.3728
P -0.3298 5.5040 4.9696
P 2.0495 1.4864 1.9985
P -0.8183 5.3426 8.4017
P 0.7895 2.7080 6.7543
P 3.6573 4.1210 0.3511
P -0.1676 9.5369 12.4554
P 2.7002 10.9499 6.0521
P 4.3080 8.3153 4.4047
P 1.4402 12.1715 10.8079
P 3.8195 8.1540 7.8369
P 6.6873 12.3329 1.4336
P 8.9849 10.0853 0.1078
P 6.1171 10.4016 6.5111
S -3.5362 9.1124 8.1395
S -0.6684 11.3745 1.7363
S 0.1787 2.4335 1.6768
S -2.6891 4.3955 8.0801
S -2.8549 0.1391 9.9025
S 0.0129 6.6898 3.4992
S 1.4818 9.2692 0.3852
S -1.3860 11.2177 6.7884
S -1.1136 1.8043 6.4373
S 1.7542 5.0246 0.0341
S 2.4643 0.2024 0.3654
S -0.4035 6.6266 6.7686
S -1.6938 2.7850 11.5431
S 1.1740 4.0439 5.1398
S 1.9401 0.4366 3.6111
S -0.9277 6.3923 10.0143
S 3.5506 2.9559 2.1331
S 0.6828 3.8731 8.5363
S 2.8068 9.7849 4.2701
S -0.0610 10.7020 10.6733
S 4.4174 7.2656 2.7922
S 1.5496 13.2213 9.1954
S 2.3156 9.6140 7.6666
S 5.1834 10.8729 1.2634
S 3.8932 7.0313 6.0378
S 1.0254 13.4556 12.4411
S 1.7355 8.6333 12.7724
S 4.6033 11.8536 6.3691
S 4.8757 2.4402 6.0181
S 2.0079 4.3887 12.4213
S 3.4768 6.9681 9.3072
S 6.3446 13.5188 2.9040
S 6.1788 9.2624 4.7264
S 3.3110 11.2245 11.1296
S 4.1580 2.2834 11.0702
S 7.0258 4.5455 4.6669
```

Properties
VASP energy = -4.698 eV per atom
ΔH_f (0 K) = -0.517 eV/atom

(4)
Here is a geometry-optimized Pm2AlCd structure from Materials Project. Energies are from PBE. Values from VASP.

The structure in Quantum ESPRESSO input format:
```
&SYSTEM
  ibrav = 0, nat = 16, ntyp = 3
/
ATOMIC_SPECIES
Pm 145.00 Pm.upf
Al 26.98 Al.upf
Cd 112.41 Cd.upf
CELL_PARAMETERS angstrom
7.5524 0.0000 0.0000
0.0000 7.5524 0.0000
0.0000 0.0000 7.5524
ATOMIC_POSITIONS angstrom
Pm 1.8881 1.8881 1.8881
Pm 1.8881 1.8881 5.6643
Pm 1.8881 5.6643 1.8881
Pm 1.8881 5.6643 5.6643
Pm 5.6643 1.8881 1.8881
Pm 5.6643 1.8881 5.6643
Pm 5.6643 5.6643 1.8881
Pm 5.6643 5.6643 5.6643
Al 0.0000 0.0000 0.0000
Al 0.0000 3.7762 3.7762
Al 3.7762 0.0000 3.7762
Al 3.7762 3.7762 0.0000
Cd 0.0000 0.0000 3.7762
Cd 0.0000 3.7762 0.0000
Cd 3.7762 0.0000 0.0000
Cd 3.7762 3.7762 3.7762
```

Properties
VASP energy = -3.882 eV per atom
ΔH_f (0 K) = -0.340 eV/atom

(5)
Here is a geometry-optimized MnGeAs2 structure from Materials Project. Energies are from PBE. Values from VASP.

The structure in Quantum ESPRESSO input format:
```
&SYSTEM
  ibrav = 0, nat = 16, ntyp = 3
/
ATOMIC_SPECIES
Mn 54.94 Mn.upf
Ge 72.64 Ge.upf
As 74.92 As.upf
CELL_PARAMETERS angstrom
5.8349 0.0000 0.0000
0.0000 5.8349 0.0000
0.0000 0.0000 11.3837
ATOMIC_POSITIONS angstrom
Mn 0.0000 0.0000 0.0000
Mn 0.0000 2.9174 2.8459
Mn 2.9174 0.0000 8.5378
Mn 2.9174 2.9174 5.6919
Ge 0.0000 0.0000 5.6919
Ge 0.0000 2.9174 8.5378
Ge 2.9174 0.0000 2.8459
Ge 2.9174 2.9174 0.0000
As 1.4280 4.3762 7.1148
As 1.4587 1.4280 4.2689
As 1.4587 1.4895 9.9608
As 1.4895 4.3762 1.4230
As 4.3454 1.4587 1.4230
As 4.3762 4.3454 9.9608
As 4.3762 4.4069 4.2689
As 4.4069 1.4587 7.1148
```

Properties
VASP energy = -5.723 eV per atom
ΔH_f (0 K) = 0.053 eV/atom

(6)
Here is a geometry-optimized Na5CuH2O4 structure from Materials Project. Energies are from PBE. Values from VASP.

The structure in Quantum ESPRESSO input format:
```
&SYSTEM
  ibrav = 0, nat = 48, ntyp = 4
/
ATOMIC_SPECIES
Na 22.99 Na.upf
Cu 63.55 Cu.upf
H 1.01 H.upf
O 16.00 O.upf
CELL_PARAMETERS angstrom
6.1090 0.0000 0.0000
0.0000 8.8952 0.0000
0.0000 0.0000 12.0580
ATOMIC_POSITIONS angstrom
Na 0.3194 2.2238 0.5021
Na 0.3874 6.6714 2.5025
Na 0.5283 6.6714 8.7921
Na 1.4721 0.0513 4.3490
Na 1.4721 4.3962 4.3490
Na 1.5824 4.4989 10.3780
Na 1.5824 8.8438 10.3780
Na 2.5262 2.2238 2.7631
Na 2.6671 2.2238 8.5315
Na 2.7351 6.6714 6.5311
Na 3.3739 2.2238 5.5269
Na 3.4419 6.6714 3.5265
Na 3.5828 6.6714 9.2949
Na 4.5266 0.0513 1.6800
Na 4.5266 4.3962 1.6800
Na 4.6369 4.4989 7.7090
Na 4.6369 8.8438 7.7090
Na 5.5807 2.2238 3.2659
Na 5.7216 2.2238 9.5555
Na 5.7896 6.6714 11.5559
Cu 0.0156 2.2238 6.3201
Cu 3.0389 6.6714 0.2911
Cu 3.0701 2.2238 11.7669
Cu 6.0934 6.6714 5.7379
H 1.3862 0.0498 1.4892
H 1.3862 4.3978 1.4892
H 1.6683 4.4973 7.5182
H 1.6683 8.8454 7.5182
H 4.4407 0.0498 4.5398
H 4.4407 4.3978 4.5398
H 4.7228 4.4973 10.5688
H 4.7228 8.8454 10.5688
O 0.7420 0.4367 2.1180
O 0.7420 4.0109 2.1180
O 1.1869 2.2238 4.9570
O 1.3969 6.6714 4.5669
O 1.6576 2.2238 10.5959
O 1.8677 6.6714 10.9860
O 2.3125 4.8843 8.1471
O 2.3125 8.4585 8.1471
O 3.7965 0.4367 3.9110
O 3.7965 4.0109 3.9110
O 4.2414 2.2238 1.0720
O 4.4514 6.6714 1.4621
O 4.7121 2.2238 7.4911
O 4.9222 6.6714 7.1010
O 5.3670 4.8843 9.9400
O 5.3670 8.4585 9.9400
```

Properties
VASP energy = -4.338 eV per atom
ΔH_f (0 K) = -1.459 eV/atom

(7)
Here is a geometry-optimized Dy2MgS4 structure from Materials Project. Energies are from PBE. Values from VASP.

The structure in Quantum ESPRESSO input format:
```
&SYSTEM
  ibrav = 0, nat = 28, ntyp = 3
/
ATOMIC_SPECIES
Dy 162.50 Dy.upf
Mg 24.30 Mg.upf
S 32.06 S.upf
CELL_PARAMETERS angstrom
13.5163 0.0000 0.0000
0.0000 7.9064 0.0000
0.0000 0.0000 6.5276
ATOMIC_POSITIONS angstrom
Dy 0.0000 0.0000 0.0000
Dy 0.0000 3.9532 0.0000
Dy 3.1402 1.9766 3.2602
Dy 3.6180 5.9298 6.5240
Dy 6.7581 0.0000 3.2638
Dy 6.7581 3.9532 3.2638
Dy 9.8983 1.9766 0.0036
Dy 10.3761 5.9298 3.2674
Mg 1.2609 5.9298 2.7576
Mg 5.4972 1.9766 6.0214
Mg 8.0190 5.9298 0.5062
Mg 12.2554 1.9766 3.7700
S 0.9542 1.9766 4.8808
S 1.2393 5.9298 5.1548
S 2.2807 4.0266 1.5744
S 2.2807 7.8329 1.5744
S 4.4775 0.0734 4.8382
S 4.4775 3.8797 4.8382
S 5.5189 1.9766 1.8910
S 5.8039 5.9298 1.6170
S 7.7124 1.9766 4.9106
S 7.9974 5.9298 4.6366
S 9.0388 4.0266 1.6894
S 9.0388 7.8329 1.6894
S 11.2356 0.0734 4.9532
S 11.2356 3.8797 4.9532
S 12.2770 1.9766 1.3728
S 12.5621 5.9298 1.6468
```

Properties
polymorph energy (0 for the lowest one) = 0.0137 eV/atom
VASP energy = -5.777 eV per atom
ΔH_f (0 K) = -2.156 eV/atom

(8)
Here is a geometry-optimized TlCrSe2 structure from Materials Project. Energies are from PBE. Values from VASP.

The structure in Quantum ESPRESSO input format:
```
&SYSTEM
  ibrav = 0, nat = 12, ntyp = 3
/
ATOMIC_SPECIES
Tl 204.38 Tl.upf
Cr 52.00 Cr.upf
Se 78.96 Se.upf
CELL_PARAMETERS angstrom
3.5889 0.0000 0.0000
-1.7945 3.1081 0.0000
0.0000 0.0000 27.6702
ATOMIC_POSITIONS angstrom
Tl 0.0000 0.0000 0.0000
Tl 0.0000 2.0721 18.4468
Tl 1.7945 1.0360 9.2234
Cr 0.0000 0.0000 13.8351
Cr 0.0000 2.0721 4.6117
Cr 1.7945 1.0360 23.0585
Se 0.0000 0.0000 3.1923
Se 0.0000 0.0000 24.4780
Se 0.0000 2.0721 15.2546
Se 0.0000 2.0721 21.6391
Se 1.7945 1.0360 6.0312
Se 1.7945 1.0360 12.4157
```

Properties
VASP energy = -5.166 eV per atom
ΔH_f (0 K) = -0.650 eV/atom

(9)
Here is a geometry-optimized NaNbO2 structure from Materials Project. Energies are from PBE. Values from VASP.

The structure in Quantum ESPRESSO input format:
```
&SYSTEM
  ibrav = 0, nat = 12, ntyp = 3
/
ATOMIC_SPECIES
Na 22.99 Na.upf
Nb 92.91 Nb.upf
O 16.00 O.upf
CELL_PARAMETERS angstrom
2.9825 0.0000 0.0000
-1.4913 2.5829 0.0000
0.0000 0.0000 17.7375
ATOMIC_POSITIONS angstrom
Na 0.0000 0.0000 0.0000
Na 0.0000 1.7220 11.8250
Na 1.4913 0.8610 5.9125
Nb 0.0000 0.0000 8.8688
Nb 0.0000 1.7220 2.9563
Nb 1.4913 0.8610 14.7813
O 0.0000 0.0000 4.3166
O 0.0000 0.0000 13.4209
O 0.0000 1.7220 7.5084
O 0.0000 1.7220 16.1417
O 1.4913 0.8610 1.5959
O 1.4913 0.8610 10.2291
```

Properties
VASP energy = -7.315 eV per atom
ΔH_f (0 K) = -2.329 eV/atom

(10)
Here is a geometry-optimized Cr2CuS4 structure from Materials Project. Energies are from PBE. Values from VASP.

The structure in Quantum ESPRESSO input format:
```
&SYSTEM
  ibrav = 0, nat = 28, ntyp = 3
/
ATOMIC_SPECIES
Cr 52.00 Cr.upf
Cu 63.55 Cu.upf
S 32.06 S.upf
CELL_PARAMETERS angstrom
6.2395 0.0000 0.0000
-0.0459 7.2121 0.0000
-0.9846 -1.7007 11.8386
ATOMIC_POSITIONS angstrom
Cr 0.4852 2.7430 3.5134
Cr 0.4850 6.3320 3.4810
Cr 0.5901 2.7862 11.8323
Cr 1.4833 4.5696 8.3491
Cr 3.7257 0.9418 3.4895
Cr 4.6189 2.7251 0.0063
Cr 4.7240 -0.8206 8.3576
Cr 4.7238 2.7684 8.3251
Cu 0.5660 -0.7834 11.8284
Cu 1.6111 0.9561 8.3539
Cu 3.5979 4.5553 3.4846
Cu 4.6430 6.2948 0.0101
S 0.4695 2.7401 1.2678
S 0.5181 6.2959 1.2677
S 0.5375 -0.8427 7.4943
S 0.5387 2.7642 7.4771
S 1.4942 4.5513 4.3632
S 1.6084 0.9339 4.3324
S 1.5583 4.5938 10.5487
S 1.6057 1.0255 10.6326
S 3.6033 4.4859 1.2059
S 3.6507 0.9176 1.2898
S 3.6006 4.5775 7.5062
S 3.7149 0.9601 7.4753
S 4.6703 2.7471 4.3615
S 4.6715 6.3541 4.3443
S 4.6909 -0.7845 10.5708
S 4.7395 2.7713 10.5708
```

Properties
polymorph energy (0 for the lowest one) = 0.2097 eV/atom
VASP energy = -6.132 eV per atom
ΔH_f (0 K) = -0.712 eV/atom

(11)
Here is a geometry-optimized BiSCl structure from Materials Project. Energies are from PBE. Values from VASP.

The structure in Quantum ESPRESSO input format:
```
&SYSTEM
  ibrav = 0, nat = 12, ntyp = 3
/
ATOMIC_SPECIES
Bi 208.98 Bi.upf
S 32.06 S.upf
Cl 35.45 Cl.upf
CELL_PARAMETERS angstrom
8.0496 0.0000 0.0000
0.0000 4.0262 0.0000
0.0000 0.0000 10.4931
ATOMIC_POSITIONS angstrom
Bi 0.9744 1.0065 1.4035
Bi 3.0504 3.0196 6.6501
Bi 4.9992 1.0065 3.8430
Bi 7.0752 3.0196 9.0896
S 1.4484 3.0196 10.0888
S 2.5765 1.0065 4.8422
S 5.4732 3.0196 5.6508
S 6.6013 1.0065 0.4043
Cl 0.2264 1.0065 7.3824
Cl 3.7984 3.0196 2.1359
Cl 4.2512 1.0065 8.3572
Cl 7.8232 3.0196 3.1107
```

Properties
VASP energy = -3.933 eV per atom
ΔH_f (0 K) = -1.013 eV/atom

(12)
Here is a geometry-optimized Ca5Bi6Cl12O8 structure from Materials Project. Energies are from PBE. Values from VASP.

The structure in Quantum ESPRESSO input format:
```
&SYSTEM
  ibrav = 0, nat = 31, ntyp = 4
/
ATOMIC_SPECIES
Ca 40.08 Ca.upf
Bi 208.98 Bi.upf
Cl 35.45 Cl.upf
O 16.00 O.upf
CELL_PARAMETERS angstrom
-2.7851 5.6047 11.0991
2.7851 -5.6047 11.0991
2.7851 5.6047 -11.0991
ATOMIC_POSITIONS angstrom
Ca 0.0000 0.0000 0.0000
Ca 2.7851 0.0000 4.2606
Ca 2.7851 3.0179 0.0000
Ca 0.0000 2.5868 11.0991
Ca 0.0000 5.6047 6.8385
Bi 2.7851 -2.7365 6.7392
Bi 0.0000 0.0000 6.7047
Bi 0.0000 2.8682 4.3599
Bi 2.7851 2.7365 6.7392
Bi 0.0000 0.0000 15.4934
Bi 0.0000 8.3412 4.3599
Cl 2.7851 0.0000 0.0000
Cl 2.7851 2.6306 -2.7149
Cl 0.0000 0.0000 2.7641
Cl 0.0000 2.6749 0.0000
Cl 2.7851 2.6306 2.7149
Cl 2.7851 0.0000 8.1845
Cl 0.0000 0.0000 11.0991
Cl 0.0000 5.6047 2.9146
Cl 0.0000 2.9741 8.3841
Cl 0.0000 8.5345 0.0000
Cl 0.0000 0.0000 19.4340
Cl 0.0000 2.9741 13.8140
O 1.4266 4.1727 -5.5688
O 1.3585 -1.4320 5.5303
O 1.4266 7.0367 -5.5688
O 1.3585 1.4320 5.5303
O 1.4266 4.1727 5.5688
O 1.3585 -1.4320 16.6678
O 1.4266 7.0367 5.5688
O 1.3585 1.4320 16.6678
```

Properties
VASP energy = -4.919 eV per atom
ΔH_f (0 K) = -2.028 eV/atom

(13)
Here is a geometry-optimized Ac3Eu structure from Materials Project. Energies are from PBE. Values from VASP.

The structure in Quantum ESPRESSO input format:
```
&SYSTEM
  ibrav = 0, nat = 8, ntyp = 2
/
ATOMIC_SPECIES
Ac 227.00 Ac.upf
Eu 151.96 Eu.upf
CELL_PARAMETERS angstrom
8.1556 0.0000 0.0000
-4.0778 7.0629 0.0000
0.0000 0.0000 6.5536
ATOMIC_POSITIONS angstrom
Ac 0.0000 2.3486 1.6384
Ac -2.0438 5.8886 1.6384
Ac 2.0340 1.1743 4.9152
Ac 2.0438 5.8886 1.6384
Ac 6.1216 1.1743 4.9152
Ac 4.0778 4.7143 4.9152
Eu 0.0000 4.7086 4.9152
Eu 4.0778 2.3543 1.6384
```

Properties
VASP energy = -5.604 eV per atom
ΔH_f (0 K) = 0.051 eV/atom

(14)
Here is a geometry-optimized Li2SnB2O6 structure from Materials Project. Energies are from PBE. Values from VASP.

The structure in Quantum ESPRESSO input format:
```
&SYSTEM
  ibrav = 0, nat = 44, ntyp = 4
/
ATOMIC_SPECIES
Li 6.94 Li.upf
Sn 118.71 Sn.upf
B 10.81 B.upf
O 16.00 O.upf
CELL_PARAMETERS angstrom
5.2627 0.0000 0.0000
0.1277 8.9402 0.0000
0.4801 0.0521 10.2769
ATOMIC_POSITIONS angstrom
Li 0.0000 0.0000 0.0000
Li 0.4131 8.8810 4.3316
Li 2.9079 4.9948 9.2903
Li 2.9828 5.1523 5.1479
Li 4.1793 4.3729 1.6085
Li 4.3695 1.5420 2.2079
Li 4.7655 4.5559 7.3329
Li 5.5395 6.1302 9.6515
Sn 0.3662 2.9847 4.6133
Sn 1.5800 6.6007 2.0301
Sn 3.1250 2.0272 9.7917
Sn 4.4493 7.6276 7.1182
B 1.6980 3.4498 1.9302
B 2.0531 6.5488 7.3244
B 2.7262 2.0923 4.4054
B 3.0624 7.8924 9.7937
B 4.5361 1.7250 7.0999
B 4.4112 7.4522 2.0074
B 5.6096 3.1843 9.7483
B 5.5220 6.1316 4.6861
O 0.4124 3.2686 2.4459
O 0.7059 6.2234 7.5724
O 1.6818 3.4578 9.5528
O 1.4903 6.2651 4.0653
O 1.6148 1.2833 4.3324
O 2.3025 6.7608 10.1459
O 2.3380 0.1753 9.9860
O 2.4252 7.8557 7.1043
O 2.2802 4.6985 1.7662
O 2.4125 3.4274 4.7029
O 2.5182 2.3767 1.5379
O 3.0801 5.6082 7.3274
O 3.1359 7.8498 2.1748
O 3.3959 1.9069 7.8382
O 4.0360 1.7136 4.1314
O 4.3774 7.7648 9.3115
O 4.6686 4.1822 9.6232
O 4.8490 7.2646 5.1206
O 4.9128 4.9102 4.8990
O 4.8270 6.1540 1.6492
O 5.1815 1.8919 10.1321
O 5.0595 0.4946 6.7625
O 5.1811 2.8520 6.6056
O 5.4664 8.3541 2.1335
```

Properties
polymorph energy (0 for the lowest one) = 0.0187 eV/atom
VASP energy = -6.740 eV per atom
ΔH_f (0 K) = -2.489 eV/atom

(15)
Here is a geometry-optimized Ga2Te3 structure from Materials Project. Energies are from PBE. Values from VASP.

The structure in Quantum ESPRESSO input format:
```
&SYSTEM
  ibrav = 0, nat = 10, ntyp = 2
/
ATOMIC_SPECIES
Ga 69.72 Ga.upf
Te 127.60 Te.upf
CELL_PARAMETERS angstrom
4.2369 0.0000 0.0000
0.0000 12.8469 0.0000
0.0000 0.0000 6.2654
ATOMIC_POSITIONS angstrom
Ga 0.0000 2.0871 0.0000
Ga 0.0000 10.7598 0.0000
Ga 2.1184 4.3363 3.1327
Ga 2.1184 8.5105 3.1327
Te 0.0000 0.0000 4.7405
Te 0.0000 4.3521 4.8264
Te 0.0000 8.4948 4.8264
Te 2.1184 2.0714 1.6937
Te 2.1184 6.4234 1.6078
Te 2.1184 10.7755 1.6937
```

Properties
VASP energy = -3.405 eV per atom
ΔH_f (0 K) = -0.561 eV/atom